The following is a PBE calculation of a relaxed Tl2S crystal, from Materials Project.

Cell: 7.2942 7.2942 6.2648 Å, 90.00 90.00 120.00°
Fractional positions:
Tl1 0.0368 0.7061 0.0816
Tl2 0.6694 0.9632 0.0816
Tl3 0.2939 0.3306 0.0816
Tl4 0.3757 0.0399 0.6085
Tl5 0.6642 0.6243 0.6085
Tl6 0.9601 0.3358 0.6085
S1 0.0000 0.0000 0.3936
S2 0.3333 0.6667 0.3846
S3 0.6667 0.3333 0.2536

The calculation puts the formation enthalpy at 0 K at -1.529 eV per formula unit. Its total energy is -3.296 eV per atom. Its calculated volume is 32.07 Å³ per atom.

The following is a PBE calculation of a relaxed MgZn4Se8O20 crystal, from Materials Project.

Cell: 6.4390 7.1980 10.2997 Å, 90.00 90.00 87.93°
Fractional positions:
Mg1 0.7500 0.5000 0.7366
Zn1 0.7500 0.0000 0.9446
Zn2 0.2500 0.5000 0.5608
Zn3 0.2500 0.0000 0.0485
Zn4 0.7500 0.5000 0.4264
Se1 0.0860 0.3191 0.8597
Se2 0.5388 0.1537 0.6588
Se3 0.9612 0.8463 0.6588
Se4 0.4140 0.6809 0.8597
Se5 0.9553 0.6328 0.1552
Se6 0.4559 0.8591 0.3395
Se7 0.0441 0.1409 0.3395
Se8 0.5447 0.3672 0.1552
O1 0.7500 0.0000 0.5801
O2 0.2500 0.5000 0.9406
O3 0.2500 0.0000 0.4287
O4 0.7500 0.5000 0.0674
O5 0.2161 0.2936 0.7086
O6 0.6685 0.2291 0.7921
O7 0.8315 0.7709 0.7921
O8 0.2839 0.7064 0.7086
O9 0.8272 0.6964 0.2951
O10 0.3351 0.8071 0.1978
O11 0.1649 0.1929 0.1978
O12 0.6728 0.3036 0.2951
O13 0.0596 0.3446 0.4278
O14 0.5615 0.1649 0.0713
O15 0.9385 0.8351 0.0713
O16 0.4404 0.6554 0.4278
O17 0.9270 0.6267 0.5789
O18 0.4608 0.9244 0.9017
O19 0.0392 0.0756 0.9017
O20 0.5730 0.3733 0.5789

The calculation puts the energy above the most stable polymorph in this dataset at 73.7 meV/atom. The calculation puts the formation enthalpy at 0 K at -43.797 eV per formula unit. Its total energy is -4.958 eV per atom. Its calculated volume is 14.46 Å³ per atom.